First-principles (PBE) data for a relaxed MgAg2Br2O4 crystal, as listed in the Materials Project database.

POSCAR file:
```
MgAg2Br2O4
1.0
2.287 -2.902 0.095
3.984 2.846 -1.184
4.337 2.640 11.039
Mg Ag Br O
1 2 2 4
Direct
0.775 0.961 0.080 Mg
0.994 0.490 0.515 Ag
0.502 0.996 0.515 Ag
0.247 0.653 0.678 Br
0.757 0.332 0.348 Br
0.726 0.911 0.913 O
0.260 0.089 0.118 O
0.713 0.171 0.914 O
0.275 0.798 0.116 O
```

Crystal system ... triclinic
Offset from the most stable computed form ... 39 meV per atom
Space-group type ... P1